15
Lattice="5.603 -0.060 -0.080 -2.853 5.774 -0.605 -0.096 -0.930 7.408" Properties=species:S:1:pos:R:3 comment="PBE-GGA Ba3LiTi3O8, optimized geometry" total_magnetization_mub_per_atom=0.013 e_above_lowest_polymorph_mev_per_atom=9.5 space_group=P1 formation_enthalpy_0k_kj_per_mol_atoms=-293.5 pbc="T T T"
Ba 2.790 5.334 -0.349
Ba -0.097 2.731 4.835
Ba 2.799 1.861 2.070
Li -0.158 5.238 2.987
Ti 2.602 5.039 3.360
Ti 0.051 3.325 0.900
Ti 2.706 0.832 6.077
O -1.444 3.021 -0.301
O -0.041 1.920 2.019
O 2.736 -0.656 7.108
O 1.323 4.501 1.904
O 1.346 0.405 4.623
O 1.325 1.977 6.991
O 2.692 3.535 4.348
O 4.036 0.455 4.618


108
Lattice="-0.293 1.305 8.593 -5.903 -5.089 -3.832 13.244 -17.970 3.196" Properties=species:S:1:pos:R:3 comment="PBE-GGA Na2Ti3ZnSi2S4O24, optimized geometry" total_magnetization_mub_per_atom=0.000 space_group=P1 formation_enthalpy_0k_kj_per_mol_atoms=-242.9 pbc="T T T"
Na 0.528 -12.833 6.349
Na -0.024 -0.043 0.061
Na 8.907 -15.790 7.156
Na 2.302 -6.800 5.533
Na -1.823 -5.934 0.852
Na 4.807 -14.994 2.500
Ti -1.500 -10.162 5.790
Ti 10.937 -14.170 11.251
Ti 6.962 -13.247 6.623
Ti 0.246 -4.126 4.932
Ti 10.860 -18.305 7.489
Ti 4.190 -9.508 6.028
Ti -3.701 -3.213 0.296
Ti 2.805 -12.357 2.156
Ti 6.665 -17.694 2.851
Zn 2.483 -15.387 6.721
Zn 1.885 -2.652 0.518
Zn 0.117 -8.697 1.331
Si 3.824 -17.610 4.656
Si 3.842 -12.798 5.269
Si -1.016 -2.666 2.160
Si 9.855 -18.333 1.817
Si 6.455 -20.911 2.074
Si -0.370 -11.539 2.972
S -2.671 -9.191 -0.542
S -1.108 -7.156 4.178
S 1.574 -5.983 -0.315
S 8.118 -14.566 3.752
S 5.733 -17.101 -0.321
S 5.454 -10.943 8.799
S 7.340 -10.224 4.939
S -2.845 -3.394 6.070
S 0.644 -0.851 5.811
S 8.019 -19.054 5.712
S 3.199 -8.961 2.760
S 1.565 -10.823 -0.844
O 3.784 -5.336 2.643
O -0.920 -8.421 5.003
O 2.710 -5.096 8.658
O 9.525 -15.067 3.695
O 5.703 -17.180 7.885
O 10.284 -13.589 9.640
O 3.243 -16.286 5.265
O 7.887 -13.334 3.003
O 4.385 -16.597 -0.579
O -2.473 -6.647 4.305
O 1.346 -4.590 0.053
O -3.202 -8.246 -1.522
O 6.027 -12.140 8.141
O 7.573 -11.422 5.781
O 5.404 -13.184 5.623
O -1.415 -3.923 5.981
O 0.846 -2.313 5.435
O -0.439 -3.709 3.388
O -1.639 -1.433 3.038
O -3.011 -2.160 5.319
O -0.734 -0.424 5.471
O 5.965 -9.682 5.103
O 3.718 -11.181 5.585
O 4.939 -9.975 7.761
O 8.577 -20.282 5.093
O 10.110 -19.662 2.773
O 7.939 -21.364 2.567
O 1.214 -12.068 2.906
O 3.452 -10.367 2.334
O 2.075 -11.785 0.145
O 1.043 -9.575 -0.294
O -0.620 -10.239 2.135
O 1.858 -8.477 2.452
O 8.354 -17.788 2.029
O 6.153 -19.382 2.589
O 7.533 -18.072 4.726
O 0.512 -11.539 -1.654
O -0.641 -11.209 4.611
O 4.238 -8.129 2.050
O 10.948 -17.256 2.405
O 6.231 -21.033 0.485
O 6.950 -19.512 6.628
O 6.410 -10.182 9.592
O 7.551 -10.466 3.517
O 2.648 -13.533 6.000
O -3.784 -4.396 5.564
O 0.795 -0.673 7.255
O 0.162 -2.135 1.246
O 8.567 -13.314 7.582
O 7.913 -14.324 5.239
O 6.484 -14.960 7.558
O -0.099 -6.188 4.771
O 1.205 -4.879 6.800
O 2.116 -4.603 4.211
O 9.041 -18.342 6.522
O 9.894 -17.393 8.875
O 11.227 -16.699 6.718
O 4.545 -7.664 6.377
O 3.400 -8.793 4.226
O 2.363 -9.097 6.806
O -2.173 -3.548 1.413
O -2.742 -4.492 -1.051
O -4.240 -5.191 1.231
O 2.417 -14.276 1.605
O 3.743 -12.911 3.589
O 4.609 -12.711 1.042
O -1.680 -8.469 0.259
O -0.807 -7.378 2.769
O 0.610 -6.831 0.389
O 7.165 -15.594 3.308
O 5.942 -16.875 1.147
O 5.061 -17.188 3.655


12
Lattice="1.728 -2.993 0.000 1.728 2.993 0.000 0.000 0.000 39.321" Properties=species:S:1:pos:R:3 comment="PBE-GGA Te6Mo3WS2, optimized geometry" total_magnetization_mub_per_atom=0.001 e_above_lowest_polymorph_mev_per_atom=34.0 space_group=P3m1 formation_enthalpy_0k_kj_per_mol_atoms=-38.4 pbc="T T T"
Te 0.000 0.000 12.926
Te 0.000 0.000 27.707
Te 1.728 0.998 16.609
Te 1.728 0.998 20.325
Te 0.000 0.000 9.226
Te 0.000 0.000 24.008
Mo 0.000 0.000 3.694
Mo 1.728 0.998 11.077
Mo 1.728 0.998 25.859
W 0.000 0.000 18.468
S 1.728 0.998 2.204
S 1.728 0.998 5.185


108
Lattice="-2.650 -8.388 2.214 8.536 1.501 -2.677 6.441 3.976 22.770" Properties=species:S:1:pos:R:3 comment="PBE-GGA Na2Ca3SnS6O24, optimized geometry" total_magnetization_mub_per_atom=0.000 space_group=P3 formation_enthalpy_0k_kj_per_mol_atoms=-222.8 pbc="T T T"
Na 3.249 2.005 11.484
Na 0.022 0.013 0.076
Na 6.404 -1.804 19.410
Na 3.249 -3.752 8.255
Na 5.920 -1.109 2.886
Na 9.036 0.815 13.902
Ca 4.155 2.565 14.689
Ca 0.956 0.590 3.381
Ca 5.466 -2.383 16.093
Ca 2.274 -4.353 4.812
Ca 7.410 -1.183 22.964
Ca 4.192 -3.170 11.589
Ca 8.119 0.249 10.660
Ca 6.859 -0.529 6.207
Ca 10.043 1.437 17.462
Sn 2.253 1.390 7.962
Sn 5.456 3.368 19.286
Sn 4.903 -1.736 -0.709
S 0.859 -1.445 6.373
S 5.785 -3.887 5.406
S 1.454 -6.939 7.164
S 6.533 0.966 17.016
S 8.244 -4.293 17.450
S 3.003 -2.969 18.701
S 4.061 -5.299 14.523
S 3.050 -0.720 14.009
S 7.393 -2.298 13.056
S 3.332 -6.918 2.280
S -1.023 -5.160 3.205
S 2.466 -2.246 1.709
S 10.002 -0.677 20.451
S 8.894 3.837 19.976
S 13.226 2.381 19.005
S 9.224 -2.311 8.237
S 4.833 -0.546 9.171
S 8.345 2.397 7.663
O 1.592 -0.485 7.314
O 6.575 -4.441 6.594
O 0.936 -6.726 8.589
O 6.219 1.705 18.365
O 9.345 -3.763 18.436
O 3.278 -3.582 20.121
O 10.862 -2.413 15.176
O 5.756 1.514 15.934
O 11.427 3.923 13.910
O 6.087 -4.635 4.189
O 3.031 0.994 4.070
O 9.202 0.663 2.383
O 4.723 -4.384 15.475
O 3.831 -1.194 15.170
O 6.943 -2.127 14.453
O 3.006 -6.256 3.540
O -0.007 -4.628 4.108
O 2.756 -2.834 3.013
O 1.785 -3.161 0.797
O 2.567 -6.411 1.143
O -0.544 -5.348 1.838
O 3.346 -1.482 12.794
O 6.310 -2.741 12.176
O 3.882 -4.691 13.203
O 10.790 0.226 21.400
O 9.614 3.273 21.201
O 12.735 2.669 20.423
O 8.886 -1.652 9.497
O 5.852 -0.003 10.067
O 8.642 1.799 8.963
O 7.662 1.481 6.754
O 8.461 -1.801 7.101
O 5.314 -0.736 7.805
O 9.241 3.096 18.776
O 12.145 1.897 18.164
O 9.795 -0.033 19.165
O 9.740 2.736 7.076
O 8.838 -3.795 8.472
O 3.722 0.537 9.162
O 7.418 3.674 20.323
O 13.742 3.732 18.524
O 10.886 -1.912 20.317
O 2.711 -5.673 15.023
O 3.367 0.706 13.724
O 8.467 -3.325 12.985
O 7.422 1.513 -0.254
O 6.911 -4.916 1.013
O 1.701 -0.987 1.801
O 4.356 -2.604 18.247
O 6.218 -0.435 17.342
O 7.200 -3.260 17.557
O 4.368 -4.034 5.796
O 1.972 -5.620 6.750
O 1.730 -2.636 6.298
O 8.719 -1.056 21.051
O 6.553 -3.127 22.025
O 5.794 -0.085 21.709
O 2.125 -3.762 10.601
O 4.240 -1.800 9.660
O 4.929 -4.737 9.978
O 3.864 -1.909 1.116
O 5.591 -0.018 0.297
O 6.399 -2.573 0.515
O 10.146 0.665 11.696
O 7.941 -0.988 12.608
O 7.554 1.863 12.220
O 8.077 -0.283 4.252
O 6.134 -2.477 5.185
O 5.168 0.434 4.950
O 7.965 1.137 16.730
O 10.416 2.801 15.746
O 10.699 -0.275 16.203


3
Lattice="-2.722 2.118 1.487 0.568 -1.618 3.342 4.127 2.947 -1.385" Properties=species:S:1:pos:R:3 comment="PBE-GGA DyAu2, optimized geometry" space_group=I4/mmm formation_enthalpy_0k_kj_per_mol_atoms=-83.7 pbc="T T T"
Dy 0.000 0.000 0.000
Au -0.073 1.302 2.753
Au 2.046 2.145 0.691


54
Lattice="-7.606 -3.533 1.030 1.318 -0.407 8.336 -5.152 11.495 1.376" Properties=species:S:1:pos:R:3 comment="PBE-GGA Sb2RuC6O6F12, optimized geometry" total_magnetization_mub_per_atom=0.000 space_group=P4/mnc formation_enthalpy_0k_kj_per_mol_atoms=-183.3 pbc="T T T"
Sb -7.667 6.855 1.547
Sb -3.205 8.418 5.200
Sb -5.091 1.107 0.859
Sb -0.629 2.670 4.512
Ru -5.720 3.778 5.371
Ru 0.000 0.000 0.000
C -6.437 3.240 7.178
C -5.004 4.315 3.564
C -0.818 1.824 0.218
C -4.903 1.954 5.153
C -4.335 9.671 1.157
C -6.538 5.602 5.589
C -1.357 -0.762 1.282
C -6.361 -3.159 2.571
C 0.073 -0.781 6.795
C -7.417 3.121 4.503
C -4.023 4.434 6.239
C -4.931 -3.178 8.085
O -6.829 2.942 8.201
O -4.612 4.613 2.541
O -1.280 2.855 0.342
O -4.441 0.923 5.029
O -3.873 8.640 1.034
O -7.000 6.632 5.713
O -2.130 -1.193 1.994
O -5.668 -2.953 3.447
O -0.620 -0.986 5.919
O -8.378 2.747 4.026
O -3.063 4.808 6.716
O -4.158 -2.746 7.373
F -6.237 7.356 2.718
F -1.637 2.039 6.014
F -9.803 5.516 4.728
F -3.674 2.369 8.242
F -4.213 7.786 6.701
F -7.780 5.947 8.712
F -5.298 -0.599 1.724
F -6.708 -1.776 6.275
F -1.042 1.098 3.481
F -2.232 3.536 3.892
F -7.746 0.757 6.460
F -2.452 -0.078 8.032
F -6.305 1.924 2.110
F -7.227 -0.231 4.041
F -6.142 8.154 9.018
F -4.733 9.331 4.467
F -10.398 6.457 7.261
F -9.208 4.019 6.850
F -3.694 6.798 4.282
F -8.989 7.633 2.710
F -5.136 5.631 8.632
F -7.767 5.186 2.500
F -3.660 1.608 2.030
F -5.204 0.199 8.024


4
Lattice="2.684 4.637 4.932 -4.341 4.993 3.044 -1.913 -0.619 7.000" Properties=species:S:1:pos:R:3 comment="PBE-GGA Rb3Li, optimized geometry" total_magnetization_mub_per_atom=0.002 e_above_lowest_polymorph_mev_per_atom=0.0 space_group=Fm-3m formation_enthalpy_0k_kj_per_mol_atoms=13.8 pbc="T T T"
Rb -0.892 2.253 3.744
Rb -2.677 6.759 11.232
Rb -1.785 4.506 7.488
Li 0.000 0.000 0.000


4
Lattice="1.538 -1.231 4.119 -2.268 -3.118 2.445 1.787 -4.155 0.621" Properties=species:S:1:pos:R:3 comment="PBE-GGA Sc2MnGe, optimized geometry" total_magnetization_mub_per_atom=0.250 space_group=F-43m formation_enthalpy_0k_kj_per_mol_atoms=-18.0 pbc="T T T"
Sc 0.000 0.000 0.000
Sc 0.264 -2.126 1.797
Mn 0.529 -4.252 3.593
Ge 0.793 -6.378 5.390


6
Lattice="-0.880 -3.007 4.182 1.704 -4.743 1.380 5.188 -1.121 5.477" Properties=species:S:1:pos:R:3 comment="PBE-GGA KO2, optimized geometry" e_above_lowest_polymorph_mev_per_atom=50.6 space_group=C2/c formation_enthalpy_0k_kj_per_mol_atoms=-90.4 pbc="T T T"
K 2.154 -2.064 4.829
K 0.852 -2.372 0.690
O 4.196 -4.743 4.487
O 6.324 -5.975 7.212
O -0.313 -2.896 3.826
O 1.816 -4.128 6.551


8
Lattice="-1.962 2.065 3.248 -3.553 -2.372 -0.638 3.372 -6.755 6.330" Properties=species:S:1:pos:R:3 comment="PBE-GGA YCuSb2, optimized geometry" space_group=P4/nmm formation_enthalpy_0k_kj_per_mol_atoms=-68.7 pbc="T T T"
Y 0.748 -6.244 4.421
Y -0.134 -0.664 3.213
Cu -1.072 -3.531 4.470
Cu 1.686 -3.377 3.165
Sb -2.757 -0.154 1.305
Sb 0.000 0.000 0.000
Sb -0.633 -3.476 1.827
Sb 1.247 -3.432 5.807